5
Lattice="4.010 0.000 0.000 -2.005 3.473 0.000 0.000 0.000 4.883" Properties=species:S:1:pos:R:3 comment="Fe3Ge2 | Materials Project | PBE | optimized geometry" volume_a3_per_cell=68 formation_energy_ev_per_atom=0.012 pbc="T T T"
Fe 0.000 0.000 0.000
Fe 0.000 2.315 0.809
Fe 2.005 1.158 4.075
Ge 0.000 2.315 3.255
Ge 2.005 1.158 1.628